Entry from the Materials Project database: Na10La4Ti4Si7S5O48 after structural relaxation (PBE).

## Properties
The formation energy from the elements comes out at -2.788 eV per atom. The total energy is -1635.58 eV/cell.

Unit cell a=9.464 b=16.296 c=22.746 alpha=93.87 beta=90.05 gamma=90.19
Sites, in units of the cell vectors:
Na (0.000, 0.000, 0.000)
Na (0.000, 0.337, 0.668)
Na (0.025, 0.692, 0.017)
Na (0.163, 0.843, 0.589)
Na (0.170, 0.503, 0.427)
Na (0.174, 0.838, 0.094)
Na (0.176, 0.157, 0.761)
Na (0.181, 0.505, 0.929)
Na (0.182, 0.170, 0.264)
Na (0.327, 0.358, 0.845)
Na (0.332, 0.689, 0.509)
Na (0.336, 0.031, 0.178)
Na (0.362, 0.689, 0.176)
Na (0.363, 0.000, 0.498)
Na (0.368, 0.337, 0.171)
Na (0.496, 0.200, 0.674)
Na (0.496, 0.841, 0.667)
Na (0.507, 0.505, 0.000)
Na (0.652, 0.664, 0.760)
Na (0.662, 0.345, 0.595)
Na (0.669, 0.003, 0.426)
Na (0.674, 0.003, 0.933)
Na (0.681, 0.333, 0.091)
Na (0.704, 0.666, 0.262)
Na (0.834, 0.191, 0.510)
Na (0.861, 0.527, 0.840)
Na (0.862, 0.190, 0.175)
Na (0.865, 0.499, 0.498)
Na (0.866, 0.171, 0.833)
Na (0.998, 0.692, 0.674)
La (0.168, 0.525, 0.281)
La (0.174, 0.182, 0.606)
La (0.180, 0.848, 0.938)
La (0.185, 0.846, 0.434)
La (0.189, 0.185, 0.099)
La (0.199, 0.527, 0.776)
La (0.673, 0.024, 0.279)
La (0.677, 0.681, 0.604)
La (0.682, 0.346, 0.436)
La (0.683, 0.345, 0.945)
La (0.690, 0.693, 0.114)
La (0.691, 0.017, 0.777)
Ti (0.147, 0.196, 0.908)
Ti (0.147, 0.527, 0.572)
Ti (0.157, 0.866, 0.234)
Ti (0.188, 0.868, 0.732)
Ti (0.216, 0.192, 0.408)
Ti (0.220, 0.529, 0.070)
Ti (0.644, 0.027, 0.571)
Ti (0.646, 0.692, 0.908)
Ti (0.677, 0.367, 0.232)
Ti (0.713, 0.692, 0.408)
Ti (0.719, 0.028, 0.069)
Ti (0.719, 0.363, 0.738)
Si (0.048, 0.337, 0.510)
Si (0.051, 0.007, 0.847)
Si (0.052, 0.673, 0.175)
Si (0.311, 0.006, 0.347)
Si (0.311, 0.342, 0.012)
Si (0.318, 0.676, 0.673)
Si (0.377, 0.682, 0.013)
Si (0.380, 0.017, 0.675)
Si (0.481, 0.515, 0.176)
Si (0.487, 0.182, 0.512)
Si (0.547, 0.170, 0.174)
Si (0.548, 0.838, 0.510)
Si (0.552, 0.501, 0.847)
Si (0.810, 0.506, 0.349)
Si (0.814, 0.172, 0.677)
Si (0.815, 0.836, 0.006)
Si (0.875, 0.180, 0.013)
Si (0.880, 0.517, 0.679)
Si (0.982, 0.017, 0.174)
Si (0.986, 0.350, 0.840)
Si (0.987, 0.682, 0.512)
S (0.008, 0.370, 0.176)
S (0.009, 0.037, 0.503)
S (0.349, 0.372, 0.675)
S (0.354, 0.037, 0.008)
S (0.370, 0.701, 0.342)
S (0.375, 0.340, 0.338)
S (0.484, 0.839, 0.837)
S (0.500, 0.874, 0.176)
S (0.504, 0.204, 0.835)
S (0.509, 0.537, 0.503)
S (0.848, 0.543, 0.003)
S (0.856, 0.870, 0.674)
S (0.866, 0.202, 0.340)
S (0.879, 0.840, 0.339)
S (0.998, 0.702, 0.839)
O (0.004, 0.546, 0.003)
O (0.016, 0.866, 0.677)
O (0.022, 0.203, 0.338)
O (0.042, 0.417, 0.125)
O (0.043, 0.740, 0.897)
O (0.050, 0.288, 0.570)
O (0.054, 0.616, 0.840)
O (0.055, 0.745, 0.789)
O (0.058, 0.951, 0.495)
O (0.059, 0.283, 0.171)
O (0.064, 0.064, 0.563)
O (0.064, 0.092, 0.459)
O (0.064, 0.406, 0.232)
O (0.064, 0.587, 0.511)
O (0.065, 0.257, 0.849)
O (0.066, 0.927, 0.182)
O (0.075, 0.960, 0.906)
O (0.086, 0.622, 0.230)
O (0.106, 0.087, 0.171)
O (0.106, 0.420, 0.838)
O (0.109, 0.750, 0.505)
O (0.121, 0.944, 0.789)
O (0.126, 0.276, 0.456)
O (0.129, 0.429, 0.520)
O (0.130, 0.620, 0.115)
O (0.131, 0.099, 0.853)
O (0.143, 0.764, 0.186)
O (0.222, 0.433, 0.018)
O (0.227, 0.766, 0.683)
O (0.234, 0.099, 0.354)
O (0.234, 0.946, 0.289)
O (0.239, 0.620, 0.615)
O (0.240, 0.281, 0.955)
O (0.253, 0.749, 0.007)
O (0.270, 0.405, 0.335)
O (0.279, 0.963, 0.407)
O (0.281, 0.096, 0.676)
O (0.286, 0.928, 0.679)
O (0.288, 0.287, 0.669)
O (0.292, 0.953, 0.999)
O (0.295, 0.093, 0.966)
O (0.295, 0.300, 0.074)
O (0.297, 0.423, 0.629)
O (0.297, 0.626, 0.730)
O (0.298, 0.587, 0.010)
O (0.299, 0.257, 0.342)
O (0.303, 0.403, 0.734)
O (0.311, 0.063, 0.070)
O (0.311, 0.748, 0.293)
O (0.317, 0.615, 0.340)
O (0.322, 0.737, 0.401)
O (0.339, 0.880, 0.177)
O (0.347, 0.206, 0.838)
O (0.351, 0.542, 0.503)
O (0.368, 0.174, 0.456)
O (0.372, 0.510, 0.229)
O (0.378, 0.505, 0.114)
O (0.380, 0.856, 0.499)
O (0.381, 0.192, 0.165)
O (0.383, 0.507, 0.838)
O (0.391, 0.834, 0.783)
O (0.403, 0.852, 0.891)
O (0.405, 0.190, 0.574)
O (0.458, 0.353, 0.392)
O (0.462, 0.689, 0.073)
O (0.468, 0.333, 0.284)
O (0.476, 0.365, 0.002)
O (0.480, 0.018, 0.341)
O (0.482, 0.004, 0.613)
O (0.482, 0.700, 0.666)
O (0.486, 0.015, 0.729)
O (0.494, 0.676, 0.955)
O (0.506, 0.365, 0.674)
O (0.510, 0.034, 0.005)
O (0.526, 0.703, 0.340)
O (0.539, 0.787, 0.172)
O (0.548, 0.109, 0.227)
O (0.549, 0.919, 0.125)
O (0.552, 0.248, 0.784)
O (0.554, 0.910, 0.233)
O (0.555, 0.790, 0.571)
O (0.556, 0.451, 0.494)
O (0.558, 0.756, 0.840)
O (0.559, 0.118, 0.834)
O (0.562, 0.243, 0.891)
O (0.562, 0.565, 0.563)
O (0.564, 0.593, 0.459)
O (0.566, 0.088, 0.511)
O (0.575, 0.426, 0.180)
O (0.577, 0.457, 0.907)
O (0.579, 0.595, 0.177)
O (0.591, 0.904, 0.834)
O (0.609, 0.250, 0.506)
O (0.624, 0.776, 0.456)
O (0.630, 0.594, 0.852)
O (0.631, 0.930, 0.519)
O (0.633, 0.114, 0.118)
O (0.634, 0.260, 0.187)
O (0.637, 0.443, 0.791)
O (0.726, 0.263, 0.682)
O (0.732, 0.927, 0.019)
O (0.733, 0.599, 0.353)
O (0.734, 0.112, 0.621)
O (0.736, 0.779, 0.950)
O (0.738, 0.444, 0.290)
O (0.764, 0.252, 0.010)
O (0.773, 0.463, 0.408)
O (0.776, 0.906, 0.333)
O (0.780, 0.596, 0.675)
O (0.791, 0.127, 0.738)
O (0.792, 0.425, 0.678)
O (0.792, 0.582, 0.058)
O (0.793, 0.458, 0.001)
O (0.797, 0.086, 0.008)
O (0.798, 0.590, 0.952)
O (0.803, 0.758, 0.341)
O (0.803, 0.784, 0.669)
O (0.804, 0.904, 0.731)
O (0.807, 0.248, 0.291)
O (0.809, 0.118, 0.339)
O (0.815, 0.776, 0.059)
O (0.816, 0.918, 0.625)
O (0.820, 0.240, 0.399)
O (0.841, 0.698, 0.837)
O (0.846, 0.365, 0.181)
O (0.852, 0.042, 0.503)
O (0.866, 0.675, 0.456)
O (0.877, 0.035, 0.227)
O (0.877, 0.367, 0.892)
O (0.881, 0.356, 0.498)
O (0.883, 0.008, 0.112)
O (0.883, 0.338, 0.777)
O (0.884, 0.027, 0.839)
O (0.887, 0.692, 0.171)
O (0.908, 0.692, 0.574)
O (0.954, 0.854, 0.395)
O (0.958, 0.182, 0.074)
O (0.971, 0.520, 0.738)
O (0.978, 0.518, 0.344)
O (0.980, 0.193, 0.669)
O (0.980, 0.834, 0.288)
O (0.982, 0.857, 0.997)
O (0.993, 0.176, 0.956)
O (0.995, 0.509, 0.620)